Entry 1:
## Lu2NiGe6 (PBE)

Data for a geometry-optimized Lu2NiGe6 structure.

For the total energy, the calculation gives -5.19 eV per atom.

The space group is Amm2 (No. 38) and the conventional cell measures 4.0024, 3.9827 and 21.1499 Å, with angles of 90.00, 90.00 and 90.00 degrees. The inequivalent atoms are Lu at (0.0000, 0.0000, 0.0000), Lu at (0.0000, 0.0000, 0.3372), Ni at (0.5000, 0.0000, 0.7801), Ge at (0.0000, 0.0000, 0.6034), Ge at (0.0000, 0.0000, 0.7215), Ge at (0.5000, 0.0000, 0.1025), Ge at (0.5000, 0.0000, 0.2215), Ge at (0.5000, 0.0000, 0.4633) and Ge at (0.5000, 0.0000, 0.8875).


Entry 2:
## Al2Se3O12 (PBE)

Data for a geometry-optimized Al2Se3O12 structure.

The excess energy over the best structure of this formula in the dataset is 0 meV/atom. For the total energy, the calculation gives -5.83 eV per atom.

The space group is R-3 (No. 148, hexagonal axes) and the conventional cell measures 8.4827, 8.4827 and 22.5538 Å, with angles of 90.00, 90.00 and 120.00 degrees. The inequivalent atoms are Al at (0.0000, 0.0000, 0.1435), Al at (0.0000, 0.0000, 0.3519), Se at (0.0022, 0.2890, 0.7490), O at (0.0158, 0.8182, 0.1875), O at (0.0291, 0.1862, 0.0890), O at (0.0802, 0.2073, 0.4026) and O at (0.0841, 0.2159, 0.6945).


Entry 3:
## Mg3Sc (PBE)

Data for a geometry-optimized Mg3Sc structure.

For the total energy, the calculation gives -2.82 eV per atom.

The space group is P6_3/mmc (No. 194) and the conventional cell measures 6.4513, 6.4513 and 5.0952 Å, with angles of 90.00, 90.00 and 120.00 degrees. The inequivalent atoms are Mg at (0.1668, 0.3336, 0.2500) and Sc at (0.3333, 0.6667, 0.7500).